# 1
H12OsSN4O7 | PBE | optimized geometry

Unit cell a=6.1520 b=12.0017 c=13.3976 alpha=80.71 beta=90.00 gamma=90.00
Fractional coordinates of all 100 atoms:
1 H 0.1410 0.4866 0.6214
2 H 0.6410 0.0134 0.3786
3 H 0.1791 0.6246 0.8994
4 H 0.3395 0.5765 0.1636
5 H 0.8768 0.1645 0.6025
6 H 0.6605 0.4235 0.8364
7 H 0.3551 0.6543 0.6106
8 H 0.3655 0.7144 0.9261
9 H 0.6131 0.5677 0.1731
10 H 0.3209 0.1246 0.8994
11 H 0.5479 0.5471 0.8006
12 H 0.1191 0.3986 0.5389
13 H 0.6232 0.6645 0.6025
14 H 0.8590 0.5134 0.3786
15 H 0.8869 0.0677 0.1731
16 H 0.3047 0.1551 0.0167
17 H 0.0479 0.9529 0.1994
18 H 0.7246 0.6363 0.3572
19 H 0.1605 0.0765 0.1636
20 H 0.3809 0.8986 0.5389
21 H 0.6345 0.2856 0.0739
22 H 0.3590 0.9866 0.6214
23 H 0.6449 0.3457 0.3894
24 H 0.3768 0.3355 0.3975
25 H 0.1131 0.9323 0.8269
26 H 0.4521 0.4529 0.1994
27 H 0.9679 0.7810 0.4970
28 H 0.8655 0.7856 0.0739
29 H 0.2246 0.8637 0.6428
30 H 0.1232 0.8355 0.3975
31 H 0.6191 0.1014 0.4611
32 H 0.1345 0.2144 0.9261
33 H 0.8395 0.9235 0.8364
34 H 0.0321 0.2190 0.5030
35 H 0.5321 0.2810 0.4970
36 H 0.6791 0.8754 0.1006
37 H 0.3869 0.4323 0.8269
38 H 0.9521 0.0471 0.8006
39 H 0.8047 0.3449 0.9833
40 H 0.4679 0.7190 0.5030
41 H 0.1953 0.6551 0.0167
42 H 0.8209 0.3754 0.1006
43 H 0.6953 0.8449 0.9833
44 H 0.1449 0.1543 0.6106
45 H 0.2754 0.3637 0.6428
46 H 0.8551 0.8457 0.3894
47 H 0.7754 0.1363 0.3572
48 H 0.8809 0.6014 0.4611
49 O 0.8972 0.2423 0.2619
50 O 0.1786 0.0593 0.4040
51 O 0.4183 0.0568 0.7695
52 O 0.2266 0.9104 0.0183
53 O 0.8214 0.9407 0.5960
54 O 0.5272 0.8783 0.8486
55 O 0.0176 0.3419 0.3979
56 O 0.7734 0.0896 0.9817
57 O 0.3972 0.2577 0.7381
58 O 0.3214 0.5593 0.4040
59 O 0.5176 0.1581 0.6021
60 O 0.6786 0.4407 0.5960
61 O 0.9183 0.4432 0.2305
62 O 0.2734 0.4104 0.0183
63 O 0.1028 0.7577 0.7381
64 O 0.2585 0.3309 0.2548
65 O 0.2415 0.8309 0.2548
66 O 0.0817 0.5568 0.7695
67 O 0.7585 0.1691 0.7452
68 O 0.4824 0.8419 0.3979
69 O 0.7415 0.6691 0.7452
70 O 0.7266 0.5896 0.9817
71 O 0.6028 0.7423 0.2619
72 O 0.9728 0.3783 0.8486
73 O 0.5817 0.9432 0.2305
74 O 0.0272 0.6217 0.1514
75 O 0.9824 0.6581 0.6021
76 O 0.4728 0.1217 0.1514
77 S 0.5296 0.1622 0.7139
78 S 0.4704 0.8378 0.2861
79 S 0.9704 0.6622 0.7139
80 S 0.0296 0.3378 0.2861
81 N 0.9752 0.9711 0.8473
82 N 0.7744 0.5706 0.4133
83 N 0.2147 0.1409 0.9550
84 N 0.4843 0.6525 0.5625
85 N 0.5248 0.4711 0.8473
86 N 0.2853 0.6409 0.9550
87 N 0.0248 0.0289 0.1527
88 N 0.0157 0.1525 0.5625
89 N 0.2744 0.9294 0.5867
90 N 0.2256 0.4294 0.5867
91 N 0.4752 0.5289 0.1527
92 N 0.7147 0.3591 0.0450
93 N 0.7256 0.0706 0.4133
94 N 0.9843 0.8475 0.4375
95 N 0.7853 0.8591 0.0450
96 N 0.5157 0.3475 0.4375
97 Os 0.5000 0.5000 0.5000
98 Os 0.5000 0.5000 0.0000
99 Os 0.0000 0.0000 0.5000
100 Os 0.0000 0.0000 0.0000

SG: P2_1/c (14)
Crystal system: monoclinic

=====

# 2
SmP3H5NO10 | PBE | optimized geometry

Unit cell a=7.0582 b=7.8255 c=8.7123 alpha=73.47 beta=73.82 gamma=82.12
Fractional coordinates of all 40 atoms:
1 H 0.8613 0.3892 0.3661
2 H 0.1274 0.7269 0.4397
3 H 0.3493 0.6864 0.4816
4 H 0.1387 0.6108 0.6339
5 H 0.8201 0.1735 0.4301
6 H 0.6896 0.8015 0.4276
7 H 0.3104 0.1985 0.5724
8 H 0.6507 0.3136 0.5184
9 H 0.1799 0.8265 0.5699
10 H 0.8726 0.2731 0.5603
11 O 0.9593 0.1500 0.1589
12 O 0.7177 0.9361 0.7528
13 O 0.2033 0.3937 0.2523
14 O 0.7191 0.8983 0.0528
15 O 0.5924 0.7032 0.3369
16 O 0.2809 0.1017 0.9472
17 O 0.2581 0.1432 0.5001
18 O 0.7419 0.8568 0.4999
19 O 0.4633 0.3721 0.9190
20 O 0.2823 0.0639 0.2472
21 O 0.4076 0.2968 0.6631
22 O 0.8584 0.1628 0.8287
23 O 0.5367 0.6279 0.0810
24 O 0.4475 0.7558 0.7482
25 O 0.8694 0.5750 0.1295
26 O 0.7967 0.6063 0.7477
27 O 0.0407 0.8500 0.8411
28 O 0.1416 0.8372 0.1713
29 O 0.5525 0.2442 0.2518
30 O 0.1306 0.4250 0.8705
31 P 0.1497 0.0374 0.1344
32 P 0.6685 0.7721 0.6922
33 P 0.3263 0.3074 0.8402
34 P 0.8503 0.9626 0.8656
35 P 0.3315 0.2279 0.3078
36 P 0.6737 0.6926 0.1598
37 N 0.8014 0.2891 0.4684
38 N 0.1986 0.7109 0.5316
39 Sm 0.2295 0.6298 0.0075
40 Sm 0.7705 0.3702 0.9925

SG: P-1 (2)
Crystal system: triclinic

=====

# 3
SnP4H8N2O13 | PBE | optimized geometry

Unit cell a=5.2222 b=8.1399 c=15.1995 alpha=83.62 beta=82.32 gamma=80.20
Fractional coordinates of all 56 atoms:
1 N 0.7604 0.3416 0.0308
2 N 0.8241 0.2726 0.4969
3 N 0.2396 0.6584 0.9692
4 N 0.1759 0.7274 0.5031
5 H 0.7136 0.1925 0.4770
6 H 0.7784 0.2775 0.5645
7 H 0.2864 0.8075 0.5230
8 H 0.6828 0.4387 0.0697
9 H 0.3172 0.5613 0.9303
10 H 0.7843 0.3912 0.9648
11 H 0.2157 0.6088 0.0352
12 H 0.0592 0.7133 0.9513
13 H 0.3671 0.7429 0.9627
14 H 0.9755 0.7656 0.5218
15 H 0.7598 0.3907 0.4653
16 H 0.0245 0.2344 0.4782
17 H 0.2402 0.6093 0.5347
18 H 0.6329 0.2571 0.0373
19 H 0.9408 0.2867 0.0487
20 H 0.2216 0.7225 0.4355
21 O 0.4186 0.2475 0.2608
22 O 0.0147 0.7091 0.3035
23 O 0.2391 0.0725 0.8416
24 O 0.6890 0.0402 0.6759
25 O 0.5814 0.7525 0.7392
26 O 0.9443 0.8117 0.8199
27 O 0.3221 0.8501 0.1432
28 O 0.6363 0.6461 0.2289
29 O 0.9853 0.2909 0.6965
30 O 0.6779 0.1499 0.8568
31 O 0.7525 0.0429 0.3366
32 O 0.7480 0.5436 0.8628
33 O 0.2520 0.4564 0.1372
34 O 0.0333 0.5901 0.7119
35 O 0.9667 0.4099 0.2881
36 O 0.3110 0.9598 0.3241
37 O 0.2772 0.3044 0.9404
38 O 0.3637 0.3539 0.7711
39 O 0.3565 0.4307 0.6047
40 O 0.7609 0.9275 0.1584
41 O 0.6450 0.8243 0.5692
42 O 0.6435 0.5693 0.3953
43 O 0.7228 0.6956 0.0596
44 O 0.3550 0.1757 0.4308
45 O 0.2475 0.9571 0.6634
46 O 0.0557 0.1883 0.1801
47 Sn 0.9613 0.0540 0.7606
48 Sn 0.0387 0.9460 0.2394
49 P 0.1747 0.3309 0.2101
50 P 0.3811 0.2168 0.8589
51 P 0.1914 0.4070 0.6908
52 P 0.4538 0.1015 0.3447
53 P 0.8086 0.5930 0.3092
54 P 0.6189 0.7832 0.1411
55 P 0.8253 0.6691 0.7899
56 P 0.5462 0.8985 0.6553

SG: P-1 (2)
Crystal system: triclinic

=====

# 4
SrP3H15N4O10 | PBE | optimized geometry

Unit cell a=10.6457 b=10.9886 c=13.0700 alpha=59.78 beta=90.00 gamma=90.00
Fractional coordinates of all 132 atoms:
1 O 0.4006 0.4534 0.6750
2 O 0.0994 0.4534 0.1750
3 O 0.4229 0.3614 0.2929
4 O 0.7499 0.4939 0.0166
5 O 0.9006 0.5466 0.8250
6 O 0.9659 0.3247 0.6132
7 O 0.2928 0.3049 0.8996
8 O 0.1850 0.8309 0.9863
9 O 0.1149 0.6492 0.6273
10 O 0.5994 0.5466 0.3250
11 O 0.4659 0.6753 0.8868
12 O 0.6149 0.3508 0.8727
13 O 0.7928 0.6951 0.6004
14 O 0.2201 0.1050 0.6700
15 O 0.5496 0.9623 0.2530
16 O 0.4504 0.0377 0.7470
17 O 0.8851 0.3508 0.3727
18 O 0.2499 0.5061 0.4834
19 O 0.9504 0.9623 0.7530
20 O 0.7501 0.4939 0.5166
21 O 0.6850 0.1691 0.5137
22 O 0.5341 0.3247 0.1132
23 O 0.2501 0.5061 0.9834
24 O 0.2072 0.3049 0.3996
25 O 0.0771 0.3614 0.7929
26 O 0.2799 0.1050 0.1700
27 O 0.6374 0.0300 0.9848
28 O 0.3851 0.6492 0.1273
29 O 0.7072 0.6951 0.1004
30 O 0.8626 0.0300 0.4848
31 O 0.7799 0.8950 0.3300
32 O 0.9229 0.6386 0.2071
33 O 0.3626 0.9700 0.0152
34 O 0.0341 0.6753 0.3868
35 O 0.8150 0.1691 0.0137
36 O 0.1374 0.9700 0.5152
37 O 0.3150 0.8309 0.4863
38 O 0.0496 0.0377 0.2470
39 O 0.5771 0.6386 0.7071
40 O 0.7201 0.8950 0.8300
41 H 0.4929 0.7957 0.4805
42 H 0.7815 0.1913 0.2404
43 H 0.8034 0.5295 0.9447
44 H 0.3034 0.4705 0.5553
45 H 0.2185 0.8087 0.7596
46 H 0.8388 0.3360 0.1206
47 H 0.1092 0.7119 0.7424
48 H 0.2001 0.6718 0.5923
49 H 0.6966 0.5295 0.4447
50 H 0.1085 0.5457 0.6772
51 H 0.1966 0.4705 0.0553
52 H 0.8915 0.4543 0.3228
53 H 0.5694 0.1849 0.7001
54 H 0.7001 0.3282 0.9077
55 H 0.0694 0.8151 0.7999
56 H 0.5674 0.1142 0.3597
57 H 0.8258 0.8872 0.1904
58 H 0.3258 0.1128 0.3096
59 H 0.9601 0.4770 0.8269
60 H 0.3615 0.4078 0.7546
61 H 0.9306 0.1849 0.2001
62 H 0.7185 0.1913 0.7404
63 H 0.1742 0.1128 0.8096
64 H 0.6385 0.5922 0.2454
65 H 0.3915 0.5457 0.1772
66 H 0.8908 0.2881 0.2576
67 H 0.9929 0.2043 0.0195
68 H 0.5038 0.6566 0.8272
69 H 0.6612 0.3360 0.6206
70 H 0.1011 0.6054 0.4290
71 H 0.7399 0.5698 0.0353
72 H 0.8615 0.5922 0.7454
73 H 0.2815 0.8087 0.2596
74 H 0.0038 0.3434 0.6728
75 H 0.3388 0.6640 0.3794
76 H 0.4326 0.8858 0.6403
77 H 0.1612 0.6640 0.8794
78 H 0.2399 0.4302 0.4647
79 H 0.3989 0.6054 0.9290
80 H 0.8989 0.3946 0.5710
81 H 0.9962 0.6566 0.3272
82 H 0.1385 0.4078 0.2546
83 H 0.2601 0.4302 0.9647
84 H 0.5071 0.2043 0.5195
85 H 0.6742 0.8872 0.6904
86 H 0.6085 0.4543 0.8228
87 H 0.6011 0.3946 0.0710
88 H 0.2999 0.6718 0.0923
89 H 0.9326 0.1142 0.8597
90 H 0.6092 0.2881 0.7576
91 H 0.4962 0.3434 0.1728
92 H 0.4601 0.5230 0.6731
93 H 0.0674 0.8858 0.1403
94 H 0.0071 0.7957 0.9805
95 H 0.7999 0.3282 0.4077
96 H 0.4306 0.8151 0.2999
97 H 0.0399 0.5230 0.1731
98 H 0.5399 0.4770 0.3269
99 H 0.3908 0.7119 0.2424
100 H 0.7601 0.5698 0.5353
101 P 0.2221 0.9523 0.0027
102 P 0.1463 0.0732 0.1519
103 P 0.7221 0.0477 0.4973
104 P 0.7779 0.0477 0.9973
105 P 0.6463 0.9268 0.3481
106 P 0.3405 0.2566 0.3942
107 P 0.6595 0.7434 0.6058
108 P 0.2779 0.9523 0.5027
109 P 0.1595 0.2566 0.8942
110 P 0.8537 0.9268 0.8481
111 P 0.8405 0.7434 0.1058
112 P 0.3537 0.0732 0.6519
113 Sr 0.0255 0.1532 0.5465
114 Sr 0.5255 0.8468 0.9535
115 Sr 0.4745 0.1532 0.0465
116 Sr 0.9745 0.8468 0.4535
117 N 0.3620 0.7498 0.2970
118 N 0.6535 0.0660 0.3728
119 N 0.0898 0.2112 0.0246
120 N 0.6593 0.8963 0.6084
121 N 0.1535 0.9340 0.1272
122 N 0.8407 0.8963 0.1084
123 N 0.1593 0.1037 0.8916
124 N 0.6380 0.2502 0.7030
125 N 0.1380 0.7498 0.7970
126 N 0.3465 0.9340 0.6272
127 N 0.9102 0.7888 0.9754
128 N 0.8465 0.0660 0.8728
129 N 0.4102 0.2112 0.5246
130 N 0.8620 0.2502 0.2030
131 N 0.3407 0.1037 0.3916
132 N 0.5898 0.7888 0.4754

SG: P2_1/c (14)
Crystal system: monoclinic

=====

# 5
TiP4H8N2O13 | PBE | optimized geometry

Unit cell a=5.1589 b=8.0469 c=15.1630 alpha=83.77 beta=83.07 gamma=81.20
Fractional coordinates of all 56 atoms:
1 H 0.0967 0.8720 0.4924
2 H 0.9033 0.1280 0.5076
3 H 0.1853 0.7175 0.4258
4 H 0.7360 0.3460 0.9668
5 H 0.8147 0.2825 0.5742
6 H 0.4143 0.7112 0.9331
7 H 0.0308 0.6841 0.5306
8 H 0.7459 0.4574 0.0529
9 H 0.9215 0.2612 0.0491
10 H 0.2640 0.6540 0.0332
11 H 0.6486 0.2768 0.4850
12 H 0.3514 0.7232 0.5150
13 H 0.5857 0.2888 0.0669
14 H 0.2541 0.5426 0.9471
15 H 0.9692 0.3159 0.4694
16 H 0.0785 0.7388 0.9509
17 O 0.6396 0.6318 0.2267
18 O 0.7081 0.6958 0.0586
19 O 0.6380 0.8305 0.5701
20 O 0.3473 0.4284 0.6039
21 O 0.6983 0.0320 0.6834
22 O 0.9852 0.2841 0.7010
23 O 0.2919 0.3041 0.9414
24 O 0.0148 0.7159 0.2990
25 O 0.3604 0.3682 0.7733
26 O 0.0241 0.5929 0.7087
27 O 0.0575 0.1782 0.1869
28 O 0.6527 0.5716 0.3961
29 O 0.9759 0.4071 0.2913
30 O 0.5674 0.7471 0.7396
31 O 0.3211 0.8548 0.1497
32 O 0.4326 0.2529 0.2604
33 O 0.7592 0.0342 0.3322
34 O 0.3620 0.1695 0.4299
35 O 0.2408 0.9658 0.6678
36 O 0.3017 0.9680 0.3166
37 O 0.9425 0.8218 0.8131
38 O 0.2184 0.0867 0.8377
39 O 0.2434 0.4543 0.1363
40 O 0.7566 0.5457 0.8637
41 O 0.6789 0.1452 0.8503
42 O 0.7816 0.9133 0.1623
43 Ti 0.9610 0.0558 0.7607
44 Ti 0.0390 0.9442 0.2393
45 P 0.8224 0.6707 0.7887
46 P 0.6150 0.7783 0.1428
47 P 0.3850 0.2217 0.8572
48 P 0.8116 0.5908 0.3091
49 P 0.1776 0.3293 0.2113
50 P 0.5372 0.8991 0.6575
51 P 0.1884 0.4092 0.6909
52 P 0.4628 0.1009 0.3425
53 N 0.8320 0.2535 0.5090
54 N 0.2513 0.6642 0.9656
55 N 0.1680 0.7465 0.4910
56 N 0.7487 0.3358 0.0344

SG: P-1 (2)
Crystal system: triclinic

=====

no.,E (MP2020) (eV/cell),E_form (meV per atom)
1,-571.417,-752
2,-282.083,-2265
3,-370.657,-1840
4,-795.370,-1430
5,-386.251,-1980